Re4Xe3O10F14 | PBE | optimized geometry

Raw total energy (eV/atom): -5.521
Space group: No. 2
M_tot (μB/f.u.): 0.0

```
Re4Xe3O10F14
1.0
8.052 0.000 0.000
4.018 7.475 0.000
3.730 -1.618 9.603
Re Xe O F
4 3 10 14
Direct
0.013 0.498 0.257
0.439 0.816 0.214
0.561 0.184 0.786
0.987 0.502 0.743
0.000 0.000 0.000
0.345 0.832 0.636
0.655 0.168 0.364
0.074 0.334 0.129
0.183 0.968 0.262
0.207 0.392 0.314
0.263 0.772 0.834
0.498 0.710 0.055
0.502 0.290 0.945
0.737 0.228 0.166
0.793 0.608 0.686
0.817 0.032 0.738
0.926 0.666 0.871
0.118 0.625 0.132
0.136 0.272 0.618
0.184 0.547 0.609
0.259 0.339 0.805
0.407 0.637 0.314
0.426 0.907 0.402
0.470 0.017 0.850
0.530 0.983 0.150
0.574 0.093 0.598
0.593 0.363 0.686
0.741 0.661 0.195
0.816 0.453 0.391
0.864 0.728 0.382
0.882 0.375 0.868
```

=====

SO2F2 | PBE | optimized geometry

Raw total energy (eV/atom): -5.091
Space group: No. 92
Maximum piezoelectric response (C/m²): 0.027

```
SO2F2
1.0
5.394 0.000 0.000
0.000 5.394 0.000
0.000 0.000 12.092
S O F
4 8 8
Direct
0.080 0.080 0.000
0.420 0.580 0.250
0.580 0.420 0.750
0.920 0.920 0.500
0.012 0.320 0.964
0.180 0.512 0.214
0.320 0.012 0.036
0.488 0.820 0.286
0.512 0.180 0.786
0.680 0.988 0.536
0.820 0.488 0.714
0.988 0.680 0.464
0.005 0.111 0.410
0.111 0.005 0.590
0.389 0.505 0.660
0.495 0.611 0.840
0.505 0.389 0.340
0.611 0.495 0.160
0.889 0.995 0.090
0.995 0.889 0.910
```

=====

> Which value of raw total energy does entry 1 give?

-5.521 eV/atom

=====

> Among the records above, which one has the highest raw total energy?

SO2F2

=====

> Among the records above, which one has the highest raw total energy?

SO2F2

=====

What did the second record say?
SO2F2 | PBE | optimized geometry

Raw total energy (eV/atom): -5.091
Space group: No. 92
Maximum piezoelectric response (C/m²): 0.027

```
SO2F2
1.0
5.394 0.000 0.000
0.000 5.394 0.000
0.000 0.000 12.092
S O F
4 8 8
Direct
0.080 0.080 0.000
0.420 0.580 0.250
0.580 0.420 0.750
0.920 0.920 0.500
0.012 0.320 0.964
0.180 0.512 0.214
0.320 0.012 0.036
0.488 0.820 0.286
0.512 0.180 0.786
0.680 0.988 0.536
0.820 0.488 0.714
0.988 0.680 0.464
0.005 0.111 0.410
0.111 0.005 0.590
0.389 0.505 0.660
0.495 0.611 0.840
0.505 0.389 0.340
0.611 0.495 0.160
0.889 0.995 0.090
0.995 0.889 0.910
```